## YHfMg6O8 (GGA-PBE)

Data for a relaxed structure of YHfMg6O8.

The structure in CIF format:
```
data_YHfMg6O8
_space_group_name_H-M_alt 'P 1'
_space_group_IT_number 1
_cell_length_a 9.000
_cell_length_b 4.487
_cell_length_c 4.487
_cell_angle_alpha 90.00
_cell_angle_beta 90.00
_cell_angle_gamma 90.00
loop_
_space_group_symop_operation_xyz
'x,y,z'
loop_
_atom_site_label
_atom_site_type_symbol
_atom_site_fract_x
_atom_site_fract_y
_atom_site_fract_z
Mg1 Mg 0.745 0.500 0.000
Mg2 Mg 0.255 0.500 0.000
Mg3 Mg 0.000 0.500 0.500
Mg4 Mg 0.255 0.000 0.500
Mg5 Mg 0.500 0.500 0.500
Mg6 Mg 0.745 0.000 0.500
O1 O 0.255 0.000 0.000
O2 O 0.745 0.000 0.000
O3 O 0.000 0.000 0.500
O4 O 0.000 0.500 0.000
O5 O 0.248 0.500 0.500
O6 O 0.500 0.500 0.000
O7 O 0.752 0.500 0.500
O8 O 0.500 0.000 0.500
Hf1 Hf 0.500 0.000 0.000
Y1 Y 0.000 0.000 0.000
```

Properties
- MP2020-corrected energy (eV/atom) = -6.82
- formation energy (kJ/mol of atoms) = -262.7
- distance to the lowest polymorph of the same formula (eV per formula unit) = 1.360
- space-group type = No. 123